DFT (PBE) results for a relaxed structure of CsMg14Cu.

Computed properties:
ΔE to the lowest computed polymorph   0.0 meV/atom
M_tot   0.0 μB/f.u.
DFT formation energy   195 meV per atom

Unit cell a=6.5568 b=6.3685 c=10.7163 alpha=90.00 beta=90.00 gamma=119.05
Last column: nearest neighbours and their distance in Å.
Fractional positions:
Cu: 0.1684 0.3342 0.1250  10 Mg 3.14-3.38, 2 Cs 3.18
Mg: 0.8437 0.1718 0.3615  1 Cu 3.14, 11 Mg 3.20-3.39
Mg: 0.3405 0.6609 0.3907  10 Mg 3.07-3.40, 1 Cu 3.38
Mg: 0.3405 0.1795 0.3907  10 Mg 3.07-3.40, 1 Cu 3.38
Mg: 0.8437 0.1718 0.8885  1 Cu 3.14, 11 Mg 3.20-3.39
Mg: 0.6647 0.8358 0.6250  12 Mg 3.09-3.39
Mg: 0.8225 0.6613 0.3946  11 Mg 3.09-3.40
Mg: 0.6599 0.8219 0.1250  8 Mg 3.08-3.40, 2 Cu 3.21-3.35, 2 Cs 3.27-3.29
Mg: 0.1599 0.3299 0.6250  12 Mg 3.12-3.36
Mg: 0.8225 0.6613 0.8554  11 Mg 3.09-3.40
Mg: 0.3405 0.1795 0.8593  10 Mg 3.07-3.40, 1 Cu 3.38
Mg: 0.6647 0.3288 0.6250  12 Mg 3.09-3.39
Mg: 0.3405 0.6609 0.8593  10 Mg 3.07-3.40, 1 Cu 3.38
Mg: 0.6599 0.3380 0.1250  8 Mg 3.08-3.40, 2 Cu 3.21-3.35, 2 Cs 3.27-3.29
Mg: 0.1657 0.8328 0.6250  12 Mg 3.16-3.29
Cs: 0.1628 0.8314 0.1250  2 Cu 3.18, 10 Mg 3.27-3.49